[1]
The following is a DFT calculation (PBE+U) of MnB4O7 after structural relaxation. Values from VASP.

Calculated values
Corrected total energy (MP2020 scheme) ... -411.325 eV for the cell shown
Energy above the lowest structure with this stoichiometry ... 61 meV per atom

Structure (Quantum ESPRESSO input):
```
&SYSTEM
  ibrav = 0, nat = 48, ntyp = 3
/
ATOMIC_SPECIES
B 10.81 B.upf
Mn 54.94 Mn.upf
O 16.00 O.upf
CELL_PARAMETERS angstrom
4.130 -4.935 0.054
4.074 7.232 0.168
-1.546 2.614 7.727
ATOMIC_POSITIONS crystal
B 0.707 0.897 0.397
B 0.085 0.787 0.537
B 0.915 0.713 0.963
B 0.293 0.603 0.103
B 0.707 0.647 0.647
B 0.085 0.287 0.037
B 0.324 0.667 0.417
B 0.915 0.213 0.463
B 0.676 0.833 0.083
B 0.324 0.167 0.917
B 0.676 0.333 0.583
B 0.707 0.147 0.147
B 0.293 0.853 0.853
B 0.707 0.397 0.897
B 0.293 0.103 0.603
B 0.293 0.353 0.353
Mn 0.222 0.986 0.236
Mn 0.778 0.514 0.264
Mn 0.778 0.014 0.764
Mn 0.222 0.486 0.736
O 0.456 0.333 0.857
O 0.099 0.175 0.925
O 0.190 0.740 0.716
O 0.757 0.469 0.719
O 0.811 0.246 0.996
O 0.456 0.607 0.583
O 0.810 0.260 0.284
O 0.456 0.107 0.083
O 0.189 0.254 0.504
O 0.810 0.034 0.510
O 0.544 0.893 0.917
O 0.243 0.531 0.281
O 0.243 0.031 0.781
O 0.544 0.393 0.417
O 0.901 0.825 0.075
O 0.190 0.966 0.490
O 0.189 0.754 0.004
O 0.190 0.466 0.990
O 0.544 0.167 0.643
O 0.544 0.667 0.143
O 0.810 0.760 0.784
O 0.810 0.534 0.010
O 0.099 0.675 0.425
O 0.757 0.969 0.219
O 0.811 0.746 0.496
O 0.456 0.833 0.357
O 0.190 0.240 0.216
O 0.901 0.325 0.575
```

***

[2]
The following is a DFT calculation (PBE+U) of MnBPbO4 after structural relaxation. Values from VASP.

Calculated values
Corrected total energy (MP2020 scheme) ... -219.452 eV for the cell shown

Structure (Quantum ESPRESSO input):
```
&SYSTEM
  ibrav = 0, nat = 28, ntyp = 4
/
ATOMIC_SPECIES
O 16.00 O.upf
B 10.81 B.upf
Pb 207.20 Pb.upf
Mn 54.94 Mn.upf
CELL_PARAMETERS angstrom
4.658 0.698 3.839
-4.297 -0.349 5.277
1.064 -8.694 0.290
ATOMIC_POSITIONS crystal
O 0.750 0.779 0.093
O 0.250 0.390 0.398
O 0.750 0.279 0.407
O 0.250 0.221 0.907
O 0.050 0.839 0.811
O 0.950 0.162 0.189
O 0.950 0.662 0.311
O 0.050 0.338 0.689
O 0.750 0.610 0.602
O 0.250 0.890 0.102
O 0.450 0.838 0.811
O 0.250 0.721 0.593
O 0.750 0.109 0.898
O 0.550 0.662 0.311
O 0.450 0.338 0.689
O 0.550 0.161 0.189
B 0.750 0.203 0.263
B 0.250 0.797 0.737
B 0.250 0.297 0.763
B 0.750 0.703 0.237
Pb 0.750 0.964 0.650
Pb 0.250 0.036 0.350
Pb 0.750 0.464 0.850
Pb 0.250 0.536 0.150
Mn 0.500 0.000 0.000
Mn 0.000 0.500 0.500
Mn 0.500 0.500 0.500
Mn 0.000 0.000 0.000
```

***

[3]
The following is a DFT calculation (PBE+U) of Sr10Mn8B2O25 after structural relaxation. Values from VASP.

Calculated values
Corrected total energy (MP2020 scheme) ... -696.472 eV for the cell shown

Structure (Quantum ESPRESSO input):
```
&SYSTEM
  ibrav = 0, nat = 90, ntyp = 4
/
ATOMIC_SPECIES
O 16.00 O.upf
Mn 54.94 Mn.upf
Sr 87.62 Sr.upf
B 10.81 B.upf
CELL_PARAMETERS angstrom
0.000 0.000 -7.839
15.342 -8.050 -3.919
-3.834 -8.047 -3.919
ATOMIC_POSITIONS crystal
O 0.895 0.048 0.192
O 0.753 0.800 0.200
O 0.515 0.496 0.990
O 0.001 0.303 0.212
O 0.385 0.230 0.922
O 0.061 0.099 0.899
O 0.515 0.695 0.783
O 0.355 0.845 0.377
O 0.385 0.430 0.723
O 0.726 0.200 0.800
O 0.275 0.592 0.877
O 0.277 0.194 0.272
O 0.266 0.797 0.687
O 0.059 0.501 0.501
O 0.899 0.850 0.390
O 0.137 0.154 0.607
O 0.001 0.502 0.012
O 0.891 0.649 0.595
O 0.750 0.803 0.713
O 0.749 0.602 0.917
O 0.137 0.352 0.407
O 0.071 0.701 0.302
O 0.992 0.905 0.617
O 0.726 0.400 0.600
O 0.061 0.300 0.700
O 0.742 0.207 0.326
O 0.385 0.634 0.520
O 0.577 0.755 0.023
O 0.742 0.406 0.128
O 0.515 0.297 0.188
O 0.275 0.393 0.074
O 0.727 0.999 0.000
O 0.538 0.966 0.880
O 0.267 0.998 0.483
O 0.513 0.899 0.590
O 0.140 0.750 0.010
O 0.538 0.572 0.275
O 0.726 0.601 0.400
O 0.000 0.104 0.410
O 0.896 0.248 0.993
O 0.002 0.701 0.810
O 0.537 0.370 0.478
O 0.386 0.028 0.125
O 0.744 0.008 0.523
O 0.897 0.446 0.793
O 0.515 0.098 0.388
O 0.074 0.899 0.098
O 0.135 0.552 0.208
O 0.135 0.951 0.805
O 0.538 0.170 0.677
Mn 0.761 0.498 0.998
Mn 0.257 0.699 0.801
Mn 0.519 0.800 0.200
Mn 0.758 0.901 0.599
Mn 0.759 0.300 0.199
Mn 0.256 0.900 0.596
Mn 0.758 0.101 0.399
Mn 0.007 0.601 0.401
Mn 0.256 0.102 0.402
Mn 0.752 0.700 0.804
Mn 0.258 0.300 0.201
Mn 0.008 0.200 0.800
Mn 0.008 0.400 0.600
Mn 0.258 0.499 0.001
Mn 0.014 0.800 0.200
Mn 0.009 0.999 0.999
Sr 0.636 0.955 0.314
Sr 0.122 0.352 0.910
Sr 0.901 0.049 0.692
Sr 0.383 0.048 0.689
Sr 0.119 0.552 0.711
Sr 0.109 0.958 0.318
Sr 0.121 0.153 0.110
Sr 0.108 0.753 0.523
Sr 0.384 0.847 0.877
Sr 0.642 0.551 0.708
Sr 0.639 0.351 0.908
Sr 0.384 0.447 0.290
Sr 0.899 0.448 0.292
Sr 0.899 0.249 0.492
Sr 0.384 0.248 0.490
Sr 0.639 0.753 0.514
Sr 0.639 0.152 0.108
Sr 0.385 0.642 0.082
Sr 0.904 0.645 0.086
Sr 0.906 0.847 0.886
B 0.545 0.998 0.002
B 0.544 0.200 0.800
B 0.543 0.400 0.600
B 0.544 0.602 0.398
```

***

[4]
The following is a DFT calculation (PBE+U) of Sr2Mn3B2O10 after structural relaxation. Values from VASP.

Calculated values
Corrected total energy (MP2020 scheme) ... -134.925 eV for the cell shown

Structure (Quantum ESPRESSO input):
```
&SYSTEM
  ibrav = 0, nat = 17, ntyp = 4
/
ATOMIC_SPECIES
O 16.00 O.upf
Mn 54.94 Mn.upf
B 10.81 B.upf
Sr 87.62 Sr.upf
CELL_PARAMETERS angstrom
-2.043 0.106 -2.707
-4.480 -1.639 3.316
-2.516 10.105 2.294
ATOMIC_POSITIONS crystal
O 0.000 0.531 0.689
O 0.500 0.364 0.513
O 0.000 0.886 0.251
O 0.500 0.780 0.526
O 0.000 0.490 0.324
O 0.000 0.091 0.713
O 0.000 0.591 0.102
O 0.500 0.217 0.091
O 0.500 0.765 0.886
O 0.000 0.348 0.886
Mn 0.000 0.547 0.506
Mn 0.500 0.814 0.710
Mn 0.500 0.477 0.991
B 0.000 0.658 0.228
B 0.000 0.311 0.759
Sr 0.000 0.980 0.005
Sr 0.500 0.149 0.318
```

***

[5]
The following is a DFT calculation (PBE+U) of MnZn5B2O10 after structural relaxation. Values from VASP.

Calculated values
Corrected total energy (MP2020 scheme) ... -229.636 eV for the cell shown

Structure (Quantum ESPRESSO input):
```
&SYSTEM
  ibrav = 0, nat = 36, ntyp = 4
/
ATOMIC_SPECIES
B 10.81 B.upf
Zn 65.41 Zn.upf
O 16.00 O.upf
Mn 54.94 Mn.upf
CELL_PARAMETERS angstrom
-0.172 0.876 2.967
-0.593 -9.071 2.645
12.426 -0.554 0.886
ATOMIC_POSITIONS crystal
B 0.000 0.526 0.139
B 0.000 0.020 0.362
B 0.000 0.474 0.639
B 0.000 0.980 0.862
Zn 0.500 0.261 0.221
Zn 0.000 0.738 0.496
Zn 0.500 0.742 0.999
Zn 0.000 0.262 0.996
Zn 0.500 0.739 0.721
Zn 0.500 0.252 0.779
Zn 0.000 0.512 0.881
Zn 0.500 0.258 0.499
Zn 0.500 0.748 0.279
Zn 0.000 0.488 0.381
O 0.000 0.094 0.265
O 0.500 0.865 0.142
O 0.000 0.095 0.459
O 0.000 0.905 0.959
O 0.500 0.126 0.085
O 0.500 0.360 0.921
O 0.000 0.377 0.139
O 0.000 0.399 0.544
O 0.500 0.354 0.358
O 0.000 0.623 0.639
O 0.000 0.600 0.235
O 0.000 0.601 0.044
O 0.500 0.646 0.858
O 0.500 0.874 0.585
O 0.000 0.400 0.735
O 0.500 0.640 0.421
O 0.000 0.906 0.765
O 0.500 0.135 0.642
O 0.000 0.875 0.360
O 0.000 0.125 0.860
Mn 0.000 0.993 0.115
Mn 0.000 0.007 0.615
```

***

[6]
The following is a DFT calculation (PBE+U) of NdBMoO6 after structural relaxation. Values from VASP.

Calculated values
Corrected total energy (MP2020 scheme) ... -308.780 eV for the cell shown

Structure (Quantum ESPRESSO input):
```
&SYSTEM
  ibrav = 0, nat = 36, ntyp = 4
/
ATOMIC_SPECIES
Nd 144.24 Nd.upf
O 16.00 O.upf
B 10.81 B.upf
Mo 95.94 Mo.upf
CELL_PARAMETERS angstrom
-1.756 -0.586 3.741
-8.138 -4.420 -4.511
0.503 -11.917 -1.630
ATOMIC_POSITIONS crystal
Nd 0.206 0.195 0.470
Nd 0.794 0.805 0.530
Nd 0.706 0.805 0.030
Nd 0.294 0.195 0.970
O 0.773 0.546 0.604
O 0.784 0.259 0.591
O 0.716 0.259 0.091
O 0.214 0.741 0.148
O 0.225 0.338 0.199
O 0.216 0.741 0.409
O 0.657 0.968 0.301
O 0.726 0.001 0.086
O 0.273 0.454 0.896
O 0.284 0.741 0.909
O 0.343 0.032 0.699
O 0.274 0.999 0.914
O 0.843 0.968 0.801
O 0.786 0.259 0.852
O 0.775 0.662 0.801
O 0.725 0.662 0.301
O 0.286 0.741 0.648
O 0.157 0.032 0.199
O 0.275 0.338 0.699
O 0.226 0.999 0.414
O 0.774 0.001 0.586
O 0.727 0.546 0.104
O 0.227 0.454 0.396
O 0.714 0.259 0.352
B 0.330 0.996 0.309
B 0.670 0.004 0.691
B 0.170 0.996 0.809
B 0.830 0.004 0.191
Mo 0.701 0.355 0.683
Mo 0.299 0.645 0.317
Mo 0.201 0.645 0.817
Mo 0.799 0.355 0.183
```

***

[7]
The following is a DFT calculation (PBE+U) of B2MoPb6O12 after structural relaxation. Values from VASP.

Calculated values
Corrected total energy (MP2020 scheme) ... -294.598 eV for the cell shown

Structure (Quantum ESPRESSO input):
```
&SYSTEM
  ibrav = 0, nat = 42, ntyp = 4
/
ATOMIC_SPECIES
O 16.00 O.upf
Pb 207.20 Pb.upf
B 10.81 B.upf
Mo 95.94 Mo.upf
CELL_PARAMETERS angstrom
3.231 -9.367 0.000
3.231 9.367 0.000
0.000 0.000 11.929
ATOMIC_POSITIONS crystal
O 0.272 0.838 0.903
O 0.671 0.329 0.000
O 0.728 0.162 0.403
O 0.329 0.671 0.000
O 0.483 0.781 0.250
O 0.576 0.576 0.874
O 0.728 0.162 0.097
O 0.838 0.272 0.597
O 0.671 0.329 0.500
O 0.424 0.424 0.374
O 0.162 0.728 0.403
O 0.781 0.483 0.250
O 0.424 0.424 0.126
O 0.517 0.219 0.750
O 0.838 0.272 0.903
O 0.824 0.980 0.750
O 0.176 0.020 0.250
O 0.020 0.176 0.250
O 0.329 0.671 0.500
O 0.576 0.576 0.626
O 0.162 0.728 0.097
O 0.980 0.824 0.750
O 0.272 0.838 0.597
O 0.219 0.517 0.750
Pb 0.655 0.867 0.408
Pb 0.345 0.133 0.908
Pb 0.867 0.655 0.092
Pb 0.655 0.867 0.092
Pb 0.345 0.133 0.592
Pb 0.510 0.096 0.250
Pb 0.133 0.345 0.592
Pb 0.904 0.490 0.750
Pb 0.490 0.904 0.750
Pb 0.096 0.510 0.250
Pb 0.133 0.345 0.908
Pb 0.867 0.655 0.408
B 0.254 0.746 0.500
B 0.254 0.746 0.000
B 0.746 0.254 0.000
B 0.746 0.254 0.500
Mo 0.267 0.267 0.250
Mo 0.733 0.733 0.750
```

***

[8]
The following is a DFT calculation (PBE+U) of NaNiBO3 after structural relaxation. Values from VASP.

Calculated values
Corrected total energy (MP2020 scheme) ... -164.784 eV for the cell shown

Structure (Quantum ESPRESSO input):
```
&SYSTEM
  ibrav = 0, nat = 24, ntyp = 4
/
ATOMIC_SPECIES
O 16.00 O.upf
Na 22.99 Na.upf
B 10.81 B.upf
Ni 58.69 Ni.upf
CELL_PARAMETERS angstrom
-4.037 -0.149 -2.991
0.449 -8.806 -0.180
-2.392 -0.225 5.058
ATOMIC_POSITIONS crystal
O 0.005 0.824 0.250
O 0.725 0.907 0.699
O 0.997 0.173 0.748
O 0.274 0.091 0.296
O 0.505 0.324 0.250
O 0.774 0.591 0.296
O 0.497 0.673 0.748
O 0.779 0.409 0.797
O 0.279 0.909 0.797
O 0.225 0.407 0.699
O 0.720 0.087 0.199
O 0.220 0.587 0.199
Na 0.499 0.834 0.247
Na 0.500 0.164 0.750
Na 0.999 0.334 0.247
Na 0.000 0.664 0.750
B 0.500 0.167 0.249
B 0.500 0.830 0.748
B 0.000 0.667 0.249
B 0.000 0.330 0.748
Ni 0.999 0.998 0.998
Ni 0.500 0.499 0.499
Ni 0.000 0.999 0.499
Ni 0.499 0.498 0.998
```

***

| no. | DFT formation energy (kJ/mol of formula units) |
| --- | --- |
| 1 | -3118 |
| 2 | -1497 |
| 3 | -11673 |
| 4 | -3977 |
| 5 | -3524 |
| 6 | -2433 |
| 7 | -3999 |
| 8 | -1213 |